Tm2CdHg, relaxed, DFT GGA-PBE; ΔH_f (0 K) = -0.39 eV/atom; E_tot = -11.7 eV for the cell shown; volume = 100.7 Å³ per cell
1.0
0.000 3.692 3.692
3.692 0.000 3.692
3.692 3.692 0.000
Tm Cd Hg
2 1 1
Direct
0.250 0.250 0.250
0.750 0.750 0.750
0.000 0.000 0.000
0.500 0.500 0.500